# Pb7O16

A relaxed structure of Pb7O16 (PBE, the Materials Project database).

Properties
Uncorrected energy: -5.05 eV per atom
Energy with MP2020 corrections: -5.53 eV/atom
Formation energy from the elements: -0.96 eV/atom

Geometry as POSCAR:
```
Pb7O16
1.0
5.132 -5.990 0.000
5.132 5.990 0.000
-5.126 0.000 5.590
Pb O
7 16
direct
0.000 0.000 0.000 Pb
0.000 0.504 0.999 Pb
0.422 0.080 0.522 Pb
0.425 0.575 0.500 Pb
0.496 0.000 0.001 Pb
0.920 0.578 0.478 Pb
0.921 0.079 0.500 Pb
0.084 0.012 0.326 O
0.104 0.336 0.177 O
0.164 0.387 0.821 O
0.259 0.676 0.675 O
0.324 0.741 0.325 O
0.342 0.065 0.186 O
0.407 0.150 0.821 O
0.526 0.425 0.684 O
0.575 0.474 0.316 O
0.613 0.836 0.179 O
0.664 0.896 0.823 O
0.754 0.188 0.677 O
0.812 0.246 0.323 O
0.850 0.593 0.179 O
0.935 0.658 0.814 O
0.988 0.916 0.674 O
```